[1]
Here is an optimized crystal structure of Th3Sn13Ru4 from Materials Project. Energies are from GGA-PBE.

The structure in POSCAR format:
```
Th3Sn13Ru4
1.0
10.1253 0.0000 0.0000
0.0000 10.1253 0.0000
0.0000 0.0000 10.1253
Th Sn Ru
6 26 8
Cartesian
2.5313 0.0000 5.0627
7.5940 0.0000 5.0627
5.0627 2.5313 0.0000
5.0627 7.5940 0.0000
0.0000 5.0627 2.5313
0.0000 5.0627 7.5940
0.0000 0.0000 0.0000
5.0627 5.0627 5.0627
0.0000 1.5672 3.0868
0.0000 8.5581 7.0386
0.0000 8.5581 3.0868
0.0000 1.5672 7.0386
3.0868 0.0000 1.5672
6.6299 5.0627 1.9759
7.0386 0.0000 8.5581
3.4954 5.0627 8.1494
3.0868 0.0000 8.5581
3.4954 5.0627 1.9759
7.0386 0.0000 1.5672
6.6299 5.0627 8.1494
1.5672 3.0868 0.0000
5.0627 8.1494 3.4954
8.5581 7.0386 0.0000
5.0627 1.9759 6.6299
1.5672 7.0386 0.0000
5.0627 1.9759 3.4954
8.5581 3.0868 0.0000
5.0627 8.1494 6.6299
1.9759 6.6299 5.0627
8.1494 3.4954 5.0627
1.9759 3.4954 5.0627
8.1494 6.6299 5.0627
2.5313 2.5313 2.5313
7.5940 7.5940 7.5940
7.5940 7.5940 2.5313
7.5940 2.5313 7.5940
2.5313 2.5313 7.5940
2.5313 7.5940 2.5313
2.5313 7.5940 7.5940
7.5940 2.5313 2.5313
```

Results
- Formation energy from the elements: -0.339 eV per atom
- Total magnetic moment: 0.03 μB per formula unit
- Mass density: 8.46 Mg/m³

[2]
Here is an optimized crystal structure of ThSnRu2 from Materials Project. Energies are from GGA-PBE.

The structure in POSCAR format:
```
ThSnRu2
1.0
0.0000 3.4031 3.4031
3.4031 0.0000 3.4031
3.4031 3.4031 0.0000
Th Sn Ru
1 1 2
Cartesian
0.0000 0.0000 0.0000
3.4031 3.4031 3.4031
1.7015 1.7015 1.7015
5.1046 5.1046 5.1046
```

Results
- Formation energy from the elements: -0.409 eV per atom
- Mass density: 11.65 Mg/m³

[3]
Here is an optimized crystal structure of U2SnRu2 from Materials Project. Energies are from GGA-PBE.

The structure in POSCAR format:
```
U2SnRu2
1.0
-2.0284 -4.4081 -5.8104
5.7654 -4.6628 1.5248
-2.0704 -1.8617 2.1352
U Sn Ru
4 2 4
Cartesian
3.0980 -6.2978 0.3959
1.1079 -7.7126 -2.7674
0.5587 -3.2202 0.6171
-1.4315 -4.6349 -2.5462
0.0000 0.0000 0.0000
1.8685 -4.5355 -2.1428
0.0588 -2.2391 -1.8953
0.3398 -5.4907 -4.4579
3.3972 -3.5803 0.1724
3.6781 -6.8318 -2.3903
```

Results
- Formation energy from the elements: -0.302 eV per atom
- Mass density: 13.16 Mg/m³

[4]
Here is an optimized crystal structure of USnRu from Materials Project. Energies are from GGA-PBE.

The structure in POSCAR format:
```
USnRu
1.0
3.6533 -6.3276 0.0000
3.6533 6.3276 0.0000
0.0000 0.0000 4.0539
U Sn Ru
3 3 3
Cartesian
1.5217 2.6356 2.0270
4.2632 0.0000 2.0270
1.5217 -2.6356 2.0270
2.7336 4.7347 0.0000
1.8393 0.0000 0.0000
2.7336 -4.7347 0.0000
3.6533 2.1092 0.0000
3.6533 -2.1092 0.0000
0.0000 0.0000 2.0270
```

Results
- Formation energy from the elements: -0.266 eV per atom
- Mass density: 12.17 Mg/m³

[5]
Here is an optimized crystal structure of Ta3Ru2 from Materials Project. Energies are from GGA-PBE.

The structure in POSCAR format:
```
Ta3Ru2
1.0
3.2228 0.0000 0.0000
0.0000 3.2228 0.0000
0.0000 0.0000 15.9135
Ta Ru
6 4
Cartesian
0.0000 0.0000 14.2715
0.0000 0.0000 1.6420
0.0000 0.0000 4.8350
0.0000 0.0000 7.9568
0.0000 0.0000 11.0786
1.6114 1.6114 0.0000
1.6114 1.6114 3.3093
1.6114 1.6114 6.3745
1.6114 1.6114 9.5391
1.6114 1.6114 12.6042
```

Results
- Formation energy from the elements: -0.284 eV per atom
- Mass density: 14.97 Mg/m³

[6]
Here is an optimized crystal structure of TaRu3 from Materials Project. Energies are from GGA-PBE.

The structure in POSCAR format:
```
TaRu3
1.0
-1.7524 -2.6162 2.3135
3.4756 -1.5601 0.8684
0.3423 2.4473 3.0268
Ta Ru
1 3
Cartesian
1.0327 -0.8645 3.1043
-0.8762 -1.3081 1.1567
1.7378 -0.7801 0.4342
0.1711 1.2236 1.5134
```

Results
- Formation energy from the elements: -0.208 eV per atom
- Mass density: 13.48 Mg/m³

[7]
Here is an optimized crystal structure of TaRu3 from Materials Project. Energies are from GGA-PBE.

The structure in POSCAR format:
```
TaRu3
1.0
1.3917 -2.4105 0.0000
1.3917 2.4105 0.0000
0.0000 0.0000 8.9941
Ta Ru
1 3
Cartesian
1.3917 0.8035 0.0000
1.3917 0.8035 4.4971
0.0000 0.0000 2.3844
0.0000 0.0000 6.6098
```

Results
- Formation energy from the elements: 0.030 eV per atom
- Total magnetic moment: 0.00 μB per formula unit
- Mass density: 13.32 Mg/m³

[8]
Here is an optimized crystal structure of TaRu3 from Materials Project. Energies are from GGA-PBE.

The structure in POSCAR format:
```
TaRu3
1.0
1.0674 4.8921 -2.5133
-5.1629 -2.1689 -0.1699
-1.0149 2.1254 3.7061
Ta Ru
2 6
Cartesian
-3.8473 1.7788 1.8285
-1.2631 3.0698 -0.8057
-1.7965 0.6237 0.4511
-3.8446 1.9855 -0.8908
-4.3784 -0.4609 0.3661
-3.3139 4.2249 0.5718
-1.2658 2.8631 1.9136
-0.7320 5.3095 0.6567
```

Results
- Formation energy from the elements: -0.191 eV per atom
- Mass density: 13.47 Mg/m³

[9]
Here is an optimized crystal structure of TbTaRu2 from Materials Project. Energies are from GGA-PBE.

The structure in POSCAR format:
```
TbTaRu2
1.0
4.1053 -2.1565 0.1622
0.7760 -3.2744 3.1949
0.3351 -4.4497 -1.2722
Tb Ta Ru
1 1 2
Cartesian
3.9124 -7.4104 1.5636
1.3041 -2.4702 0.5212
0.0000 0.0000 0.0000
2.6082 -4.9403 1.0424
```

Results
- Formation energy from the elements: -0.327 eV per atom
- Total magnetic moment: 0.00 μB per formula unit
- Mass density: 12.74 Mg/m³

[10]
Here is an optimized crystal structure of Ta2TcRu from Materials Project. Energies are from GGA-PBE.

The structure in POSCAR format:
```
Ta2TcRu
1.0
-4.2732 -1.3484 -0.4421
-3.1769 2.9492 -1.2181
-1.8664 -0.2622 -4.0892
Ta Tc Ru
2 1 1
Cartesian
-2.3291 0.3347 -1.4374
-6.9873 1.0040 -4.3121
0.0000 0.0000 0.0000
-4.6582 0.6693 -2.8747
```

Results
- Formation energy from the elements: -0.413 eV per atom
- Mass density: 14.43 Mg/m³

[11]
Here is an optimized crystal structure of TaTe4Ru from Materials Project. Energies are from GGA-PBE.

The structure in POSCAR format:
```
TaTe4Ru
1.0
-1.1786 -3.0067 -1.9405
-4.5088 -5.1088 10.6540
-12.0046 6.0975 -2.1565
Ta Te Ru
4 16 4
Cartesian
-10.9020 -3.2300 7.9683
-0.3309 -0.2662 0.6134
-15.7414 0.8306 4.6160
-7.1233 1.5814 1.8761
-15.5578 -0.8116 7.0489
-5.0519 2.0782 -0.1517
-8.4562 -3.4592 6.8381
-11.1243 4.2031 0.2440
-10.6063 -1.2378 4.7020
-2.6461 -1.2326 3.5169
-4.8898 -3.6442 4.9587
-9.5402 1.7720 3.0487
-13.3648 1.7741 1.7109
-7.3678 -0.4450 5.1643
-6.2295 -1.0417 1.7400
-13.2224 1.7203 5.3652
-8.5068 1.4003 -0.6605
-5.0615 -3.7102 8.8226
-2.8462 -1.1593 -0.1326
-11.7902 -0.6081 8.1029
-8.6821 -0.7619 2.7961
-2.4931 -2.7635 5.7959
-13.5268 3.3145 -0.5775
-9.3069 -0.9182 7.0752
```

Results
- Formation energy from the elements: -0.343 eV per atom
- Total magnetic moment: 0.00 μB per formula unit
- Mass density: 8.10 Mg/m³

[12]
Here is an optimized crystal structure of TaTiRu2 from Materials Project. Energies are from GGA-PBE.

The structure in POSCAR format:
```
TaTiRu2
1.0
-1.1180 -3.9713 1.6166
-3.8364 -0.5140 2.1570
-3.2972 -2.3016 -1.8615
Ta Ti Ru
1 1 2
Cartesian
0.0000 0.0000 0.0000
-4.1258 -3.3935 0.9560
-6.1887 -5.0902 1.4340
-2.0629 -1.6967 0.4780
```

Results
- Formation energy from the elements: -0.552 eV per atom
- Mass density: 11.63 Mg/m³